The following is a DFT calculation (PBE-GGA) of a relaxed LaGdC4 crystal.

Cell: 4.2226 4.2226 5.4482 Å, 90.00 90.00 99.57°
Element x y z (fractional)
C1 0.3989 0.6011 0.0000
C2 0.8996 0.1004 0.5000
C3 0.1004 0.8996 0.5000
C4 0.6011 0.3989 0.0000
Gd1 0.0000 0.0000 0.0000
La1 0.5000 0.5000 0.5000

**E**: -9.46 eV/atom
**Magnetization**: 1.136 μB per atom

The following is a DFT calculation (PBE-GGA) of a relaxed LiMg14BO15 crystal.

Cell: 8.3394 8.6420 4.2363 Å, 90.00 90.00 90.00°
Element x y z (fractional)
Mg1 0.0012 0.7553 0.5000
Mg2 0.2537 0.7627 0.0000
Mg3 0.7499 0.7631 0.0000
Mg4 0.5018 0.0000 0.0000
Mg5 0.2537 0.2373 0.0000
Mg6 0.2656 0.5000 0.5000
Mg7 0.7571 0.0000 0.5000
Mg8 0.7425 0.5000 0.5000
Mg9 0.5016 0.7490 0.5000
Mg10 0.0012 0.2447 0.5000
Mg11 0.0034 0.5000 0.0000
Mg12 0.5016 0.2510 0.5000
Mg13 0.7499 0.2369 0.0000
Mg14 0.2456 0.0000 0.5000
Li1 0.0015 0.0000 0.0000
O1 0.5016 0.7564 0.0000
O2 0.0009 0.2697 0.0000
O3 0.0020 0.0000 0.5000
O4 0.7516 0.2546 0.5000
O5 0.6867 0.5000 0.0000
O6 0.2514 0.2570 0.5000
O7 0.2514 0.7430 0.5000
O8 0.5004 0.0000 0.5000
O9 0.0009 0.7303 0.0000
O10 0.5016 0.2436 0.0000
O11 0.7491 0.0000 0.0000
O12 0.7516 0.7454 0.5000
O13 0.2538 0.0000 0.0000
O14 0.5021 0.5000 0.5000
O15 0.9982 0.5000 0.5000
B1 0.5162 0.5000 0.0000

**Total energy after the MP2020 corrections**: -6.13 eV/atom
**E**: -5.80 eV/atom
**Magnetization**: 0.000 μB per atom
**Energy above the most stable polymorph in this dataset**: 3.7 kJ/mol of atoms

| no. | calculated volume (Å³/f.u.) |
| --- | --- |
| 1 | 95.8 |
| 2 | 305.3 |